# 1
# AcEuAu2, optimized geometry, DFT r²SCAN
data_AcEuAu2
_chemical_formula_sum 'Ac1 Eu1 Au2'
_space_group_name_H-M_alt 'P 1'
_space_group_IT_number 1
_space_group_name_Hall 'P 1'
_cell_length_a 5.3987
_cell_length_b 5.3987
_cell_length_c 5.3987
_cell_angle_alpha 60.00
_cell_angle_beta 60.00
_cell_angle_gamma 60.00
loop_
_atom_site_label
_atom_site_type_symbol
_atom_site_fract_x
_atom_site_fract_y
_atom_site_fract_z
Ac1 Ac 0.0000 0.0000 0.0000
Eu1 Eu 0.5000 0.5000 0.5000
Au1 Au 0.2500 0.2500 0.2500
Au2 Au 0.7500 0.7500 0.7500
# * energy relative to the elements: -0.86 eV/atom
# * final energy: -211.8 eV per cell
# * crystal system: cubic
# * theoretical density: 11.5 g cm⁻³

***

# 2
# PrZrF7, optimized geometry, DFT r²SCAN
data_PrZrF7
_chemical_formula_sum 'Pr2 Zr2 F14'
_space_group_name_H-M_alt 'P 1'
_space_group_IT_number 1
_space_group_name_Hall 'P 1'
_cell_length_a 6.2720
_cell_length_b 5.8201
_cell_length_c 8.4452
_cell_angle_alpha 90.00
_cell_angle_beta 102.09
_cell_angle_gamma 90.00
loop_
_atom_site_label
_atom_site_type_symbol
_atom_site_fract_x
_atom_site_fract_y
_atom_site_fract_z
Pr1 Pr 0.1598 0.0000 0.1871
Pr2 Pr 0.8402 0.5000 0.8129
Zr1 Zr 0.3080 0.0100 0.7234
Zr2 Zr 0.6920 0.5100 0.2766
F1 F 0.0509 0.7985 0.7149
F2 F 0.0605 0.6743 0.0313
F3 F 0.1177 0.2926 0.7138
F4 F 0.2530 0.9987 0.4807
F5 F 0.3597 0.0131 0.9675
F6 F 0.4455 0.7324 0.2745
F7 F 0.4671 0.2567 0.2610
F8 F 0.5329 0.7567 0.7390
F9 F 0.5545 0.2324 0.7255
F10 F 0.6403 0.5131 0.0325
F11 F 0.7470 0.4987 0.5193
F12 F 0.8823 0.7926 0.2862
F13 F 0.9395 0.1743 0.9687
F14 F 0.9491 0.2985 0.2851
# * energy relative to the elements: -4.18 eV/atom
# * final energy: -223.2 eV per cell
# * crystal system: monoclinic
# * theoretical density: 4.0 g cm⁻³

***

# 3
# Nd3Bi4Au3, optimized geometry, DFT r²SCAN
data_Nd3Bi4Au3
_chemical_formula_sum 'Nd6 Bi8 Au6'
_space_group_name_H-M_alt 'P 1'
_space_group_IT_number 1
_space_group_name_Hall 'P 1'
_cell_length_a 8.9011
_cell_length_b 8.9011
_cell_length_c 8.9011
_cell_angle_alpha 109.47
_cell_angle_beta 109.47
_cell_angle_gamma 109.47
loop_
_atom_site_label
_atom_site_type_symbol
_atom_site_fract_x
_atom_site_fract_y
_atom_site_fract_z
Nd1 Nd 0.1250 0.8750 0.2500
Nd2 Nd 0.2500 0.1250 0.8750
Nd3 Nd 0.3750 0.6250 0.7500
Nd4 Nd 0.6250 0.7500 0.3750
Nd5 Nd 0.7500 0.3750 0.6250
Nd6 Nd 0.8750 0.2500 0.1250
Bi1 Bi 0.0000 0.1763 0.5000
Bi2 Bi 0.0000 0.6763 0.5000
Bi3 Bi 0.1763 0.5000 0.0000
Bi4 Bi 0.3237 0.3237 0.3237
Bi5 Bi 0.5000 0.0000 0.1763
Bi6 Bi 0.5000 0.0000 0.6763
Bi7 Bi 0.6763 0.5000 0.0000
Bi8 Bi 0.8237 0.8237 0.8237
Au1 Au 0.1250 0.7500 0.8750
Au2 Au 0.2500 0.6250 0.3750
Au3 Au 0.3750 0.2500 0.6250
Au4 Au 0.6250 0.3750 0.2500
Au5 Au 0.7500 0.8750 0.1250
Au6 Au 0.8750 0.1250 0.7500
# * energy relative to the elements: -0.85 eV/atom
# * final energy: -965.0 eV per cell
# * crystal system: cubic
# * theoretical density: 11.4 g cm⁻³

***

# 4
# YbYRh2, optimized geometry, DFT r²SCAN
data_YbYRh2
_chemical_formula_sum 'Yb1 Y1 Rh2'
_space_group_name_H-M_alt 'P 1'
_space_group_IT_number 1
_space_group_name_Hall 'P 1'
_cell_length_a 4.7780
_cell_length_b 4.7780
_cell_length_c 4.7780
_cell_angle_alpha 60.00
_cell_angle_beta 60.00
_cell_angle_gamma 60.00
loop_
_atom_site_label
_atom_site_type_symbol
_atom_site_fract_x
_atom_site_fract_y
_atom_site_fract_z
Yb1 Yb 0.0000 0.0000 0.0000
Y1 Y 0.5000 0.5000 0.5000
Rh1 Rh 0.2500 0.2500 0.2500
Rh2 Rh 0.7500 0.7500 0.7500
# * energy relative to the elements: -0.97 eV/atom
# * final energy: -109.0 eV per cell
# * crystal system: cubic
# * theoretical density: 10.1 g cm⁻³

***

# 5
# CeCdAg2, optimized geometry, DFT r²SCAN
data_CeCdAg2
_chemical_formula_sum 'Ce1 Cd1 Ag2'
_space_group_name_H-M_alt 'P 1'
_space_group_IT_number 1
_space_group_name_Hall 'P 1'
_cell_length_a 5.0535
_cell_length_b 5.0535
_cell_length_c 5.0535
_cell_angle_alpha 60.00
_cell_angle_beta 60.00
_cell_angle_gamma 60.00
loop_
_atom_site_label
_atom_site_type_symbol
_atom_site_fract_x
_atom_site_fract_y
_atom_site_fract_z
Ce1 Ce 0.0000 0.0000 0.0000
Cd1 Cd 0.5000 0.5000 0.5000
Ag1 Ag 0.2500 0.2500 0.2500
Ag2 Ag 0.7500 0.7500 0.7500
# * energy relative to the elements: -0.22 eV/atom
# * final energy: -94.5 eV per cell
# * crystal system: cubic
# * theoretical density: 8.5 g cm⁻³

***

# 6
# Ta9Fe2S6, optimized geometry, DFT r²SCAN
data_Ta9Fe2S6
_chemical_formula_sum 'Ta18 Fe4 S12'
_space_group_name_H-M_alt 'P 1'
_space_group_IT_number 1
_space_group_name_Hall 'P 1'
_cell_length_a 10.3831
_cell_length_b 10.3831
_cell_length_c 6.5705
_cell_angle_alpha 90.00
_cell_angle_beta 90.00
_cell_angle_gamma 120.00
loop_
_atom_site_label
_atom_site_type_symbol
_atom_site_fract_x
_atom_site_fract_y
_atom_site_fract_z
Ta1 Ta 0.0000 0.4597 0.2462
Ta2 Ta 0.0000 0.4597 0.7538
Ta3 Ta 0.1906 0.7342 0.5000
Ta4 Ta 0.2179 0.7443 0.0000
Ta5 Ta 0.2557 0.4735 0.0000
Ta6 Ta 0.2658 0.4563 0.5000
Ta7 Ta 0.4563 0.2658 0.5000
Ta8 Ta 0.4597 0.0000 0.2462
Ta9 Ta 0.4597 0.0000 0.7538
Ta10 Ta 0.4735 0.2557 0.0000
Ta11 Ta 0.5265 0.7821 0.0000
Ta12 Ta 0.5403 0.5403 0.2462
Ta13 Ta 0.5403 0.5403 0.7538
Ta14 Ta 0.5437 0.8094 0.5000
Ta15 Ta 0.7342 0.1906 0.5000
Ta16 Ta 0.7443 0.2179 0.0000
Ta17 Ta 0.7821 0.5265 0.0000
Ta18 Ta 0.8094 0.5437 0.5000
Fe1 Fe 0.3333 0.6667 0.2844
Fe2 Fe 0.3333 0.6667 0.7156
Fe3 Fe 0.6667 0.3333 0.2844
Fe4 Fe 0.6667 0.3333 0.7156
S1 S 0.0000 0.2764 0.0000
S2 S 0.0000 0.2794 0.5000
S3 S 0.0000 0.7008 0.2341
S4 S 0.0000 0.7008 0.7659
S5 S 0.2764 0.0000 0.0000
S6 S 0.2794 0.0000 0.5000
S7 S 0.2992 0.2992 0.2341
S8 S 0.2992 0.2992 0.7659
S9 S 0.7008 0.0000 0.2341
S10 S 0.7008 0.0000 0.7659
S11 S 0.7206 0.7206 0.5000
S12 S 0.7236 0.7236 0.0000
# * energy relative to the elements: -0.77 eV/atom
# * final energy: -1054.9 eV per cell
# * crystal system: hexagonal
# * theoretical density: 10.5 g cm⁻³

***

> Among the records above, which one has the highest theoretical density?

AcEuAu2

***

> Number 1 is which compound?

AcEuAu2

***

> What is the theoretical density in the first record?

11.5 g cm⁻³

***

> Which of these has the highest final energy?

CeCdAg2